Record 1
PBE-GGA Ba2SmTaO6, relaxed; M_tot = 0.00 Bohr magnetons per cell; ΔH_f (0 K) = -3.519 eV/atom
1.0
1.4041 1.7963 5.6735
-4.3963 1.9996 3.7498
-1.7081 -3.3925 4.7917
Ta O Ba Sm
1 6 2 1
Cartesian
0.0000 0.0000 0.0000
-3.4436 1.1625 5.3132
-2.0070 -1.7190 5.8700
-1.2566 -0.7591 8.9019
-2.6932 2.1224 8.3451
-4.3564 -0.6504 7.8738
-0.3439 1.0539 6.3412
-1.1751 0.1009 3.5538
-3.5252 0.3026 10.6613
-2.3501 0.2017 7.1075

---

Record 2
PBE-GGA UH17C10N3O10, relaxed; M_tot = 0.00 Bohr magnetons per cell; ΔH_f (0 K) = -0.910 eV/atom
1.0
-6.2844 -1.9331 -0.5913
0.7231 4.6598 -22.9194
5.8122 -21.2813 7.8014
O C H N U
60 60 102 18 6
Cartesian
0.5723 -9.2126 -13.1659
-0.1583 -18.4295 -2.4199
-0.3215 -9.3420 -2.5434
0.9304 -8.4350 0.3794
3.8837 -17.9853 0.2134
2.4513 -18.7572 1.8004
-1.9052 -3.9563 -19.6472
-2.3665 -9.8450 -0.4145
2.6173 -8.7095 -15.2948
-2.7386 -1.2850 -6.8886
-1.1332 -2.5801 -16.7229
2.6831 -6.6333 -16.1803
-1.9666 -4.0410 -6.1222
-2.8550 -5.7103 -7.3833
-1.5236 -12.6156 -6.9166
-3.9447 -0.6719 -8.7087
0.0787 -19.4124 -5.4457
0.1417 -16.5711 -9.6330
1.6523 -16.8088 3.8846
-1.4015 -1.7458 -19.5939
3.1058 -12.8443 -8.3260
0.6120 -18.1319 -7.2098
-0.3612 -0.4226 -8.4995
0.1721 0.8579 -10.2636
1.1162 -12.0937 -12.5223
-2.8090 -9.7576 -6.3190
0.6565 -7.0642 -4.7563
-0.0167 -0.0818 -15.5066
1.1335 -11.2891 -15.3738
-2.2005 0.2027 -17.5097
2.9894 -17.2695 -8.8207
0.4091 -0.1251 -13.2894
2.8384 -9.9707 -11.2902
2.1560 -14.5982 3.9379
0.5974 0.1851 -18.3556
-3.6329 -0.5692 -15.9227
-2.3355 -14.0890 2.8096
-2.5876 -8.5838 -4.4191
-0.3466 -18.7396 2.6463
-0.4057 -11.4903 -10.9530
-0.3266 -14.1292 -8.0894
-0.6796 -10.1195 -16.0887
-1.0208 -15.9067 2.8686
-1.6970 -3.0962 -9.0439
3.6354 -11.0603 -13.8799
1.7744 -5.9389 -8.7927
4.1955 -17.8826 -7.0006
2.5863 -4.4655 -18.5189
-3.3846 -7.4942 -1.8294
0.5774 -4.4254 -7.6199
-0.8827 -7.2654 -0.3355
2.2174 -14.5136 -9.5871
0.2675 -18.4727 -0.2027
1.9478 -15.4584 -6.6654
0.1091 -1.9834 -6.0763
-0.8654 -6.4609 -3.1870
-2.4322 -11.9212 0.4710
1.3840 -15.9745 1.0136
3.0598 -8.7969 -9.3903
1.2716 -2.6478 -18.5779
-0.3513 -18.0254 -1.2644
-1.3535 -16.9010 -1.0026
2.3646 -3.1498 -16.5095
0.6595 -4.8155 -3.9137
-2.5430 -11.1390 -0.4837
2.8465 -19.5058 -2.5736
3.2689 -7.6254 -11.4884
-3.7953 -0.8525 -7.4870
-2.7924 -9.6876 -5.0779
0.1236 -6.2463 -3.9854
-2.9950 -2.4611 -21.1781
2.2707 -15.7714 4.3353
-1.1110 -13.7685 -7.1072
-4.4311 0.9529 -17.5972
-0.9454 -17.2363 -5.6294
3.9121 -13.1979 -10.5581
3.0432 -8.8669 -10.6314
-3.3501 0.1116 -16.9182
-3.3152 0.0670 -12.1372
0.6513 -6.1516 1.0618
-0.3826 -7.9488 -7.5603
-0.0284 -18.3608 -6.0999
5.2068 -17.9889 -9.1761
-0.4005 -12.4029 -16.7711
0.2247 -7.4187 0.3202
-0.4087 -13.7390 -11.7956
3.1306 -6.8828 -13.8328
0.6334 -10.6058 -8.1490
-2.7598 -5.0414 -6.3451
-2.0199 -2.7831 -20.0446
-2.1138 -15.4047 0.8002
3.6009 -18.6661 1.2089
4.0461 -17.7021 -8.2223
1.3618 -4.7860 -8.6022
-0.9211 -8.7610 -8.7209
-4.9560 -0.5656 -6.5332
-0.3643 -10.6309 2.5373
-1.8240 -15.0812 2.2624
-0.5671 -6.9778 -18.3142
4.6819 -19.5074 1.8878
0.0261 -11.1358 -16.0295
1.7402 -3.6661 -9.5716
2.0748 -3.4733 -17.9717
3.2458 -16.0934 5.4687
-3.6613 -5.3567 -5.1512
0.1272 -12.3083 -11.7239
-1.4894 -14.8884 -6.1377
0.2792 -0.1938 -9.6094
3.5660 -18.6215 -3.5721
-2.5957 0.9512 -13.1357
-3.0180 -10.9292 -4.2209
0.6021 -0.5292 -14.4449
2.7938 -7.4156 -15.2256
3.0106 -13.5131 -9.3642
0.8179 -11.5768 2.6049
1.1962 -1.3182 -10.0799
1.1720 -9.7935 -6.9884
-2.8798 -11.6718 -1.8765
1.6043 -1.6536 -14.7067
0.6151 -7.9236 -18.2466
3.9946 -15.1859 -0.9492
0.3782 -14.4566 -11.5297
-2.0059 -12.2317 -2.2448
-3.7611 -8.9583 0.7192
4.0119 -9.5962 -16.4285
0.2230 -19.8167 -8.1594
2.2567 -6.3229 -13.4645
-2.0563 0.3439 -13.8695
-2.1381 -9.0111 -11.7017
-0.8193 1.2700 -12.0540
-0.1435 -5.8021 1.7337
4.8655 -19.1052 2.8915
-3.8110 -3.0456 -17.0453
-4.2797 -3.9976 -8.9522
-3.7438 -3.3687 -14.7601
-4.3389 -4.5104 -4.9858
1.0093 -4.6143 -2.8924
-3.1848 -6.6732 0.8928
-4.3807 0.2592 -10.3572
-0.7585 -13.9403 -12.8169
4.3482 -18.0385 -3.0703
-0.1274 -4.0979 -4.1796
4.0618 -15.5089 1.3360
3.4356 -11.8814 -16.6021
-2.0708 -16.2338 4.5063
3.3178 -13.0180 -11.4636
-3.4602 -5.6384 -10.3547
4.0046 -16.7966 5.1003
-2.6189 -0.6173 -11.6315
-4.1234 2.0042 -17.6711
-1.9129 -12.0519 2.6377
1.3431 -7.7965 -6.4198
3.0859 -13.4066 1.2134
1.6652 -8.0358 -8.0361
0.8824 -5.3715 0.3263
-1.9191 -10.2301 -13.6647
-1.6112 -5.8745 -19.7402
-0.3259 -13.5233 4.1514
-0.9337 -15.9707 -1.4164
-0.8924 2.5281 -17.7113
2.3889 -9.5434 -4.0076
3.7110 -12.9162 -5.3546
5.4788 -17.0624 -9.6990
1.7159 -11.0935 2.2007
-1.2280 -13.9542 -9.8708
1.4788 -4.6003 -5.8385
-1.0923 -10.7580 -9.2895
0.6137 -9.9958 -6.0631
-0.4058 -6.8798 -7.7947
1.8882 -3.9310 -15.8976
0.7543 -1.7447 -10.9933
-3.0670 -5.5365 -4.2457
2.3216 -2.3207 -20.2156
2.8697 -17.9373 -4.0778
-1.9832 -8.5383 -8.8814
2.3954 -6.9689 -11.3555
-1.4144 -10.5187 -7.6732
1.8620 -12.6800 4.0309
-3.8580 -7.4054 -5.3621
-0.6190 -10.4064 1.4967
2.3071 -18.8984 -1.8398
-2.2594 1.1252 -9.8450
-1.6374 -14.6236 0.1882
-4.6147 0.5507 -18.6008
4.6315 -18.8138 -5.3521
1.2210 -10.4302 -9.0581
1.1432 -21.0827 2.0020
-4.1103 -2.8293 -10.9506
-0.5035 -16.8099 -4.7160
-0.6315 -13.1830 -16.0356
-3.7538 -1.7580 -20.8096
1.0701 -19.8245 -3.6553
4.5305 -14.5570 -6.7571
0.8698 -8.1482 -17.2060
2.5596 -10.4412 -1.2088
-0.1965 -20.3834 0.1853
-2.8351 -5.1479 -16.9227
4.5898 -14.0442 -10.7235
0.6567 -11.6747 -7.9146
4.1088 -11.1491 -10.3472
0.0278 1.2622 -7.5499
4.3611 -15.7252 -4.7588
-5.2280 -1.4922 -6.0103
-0.3715 -6.0497 -17.7581
0.5767 -5.0312 -19.8607
0.3943 -12.7524 -17.4430
2.2340 -10.0163 -6.8279
-2.1446 -11.5856 -4.3538
-0.9702 -8.1243 -6.6512
4.3742 -20.5587 1.9618
-1.4651 -7.4610 -17.9100
2.1637 -6.5027 -18.3470
2.1699 -8.3244 -2.0446
-0.3629 -8.5588 -9.6463
1.2205 -3.8536 -10.5243
-4.0973 -0.5160 -12.6390
0.4473 1.8288 -15.8946
2.5102 -19.6797 -5.8643
-2.3088 -8.1134 -14.5005
0.6223 -12.5048 2.0488
-0.9697 -14.7010 -5.1850
1.1845 -2.5839 -14.2929
1.8213 -7.3166 -18.8970
1.8513 -20.3888 -3.2637
0.5872 2.8105 -16.2241
-3.1520 -10.5682 -2.8045
-1.6005 1.8343 -12.4456
-1.5705 -11.2380 3.1877
-4.4094 -8.3569 1.2757
4.6602 -10.1977 -16.9850
-0.7858 -10.2293 -8.4499
1.0366 -8.3252 -7.2594
1.8077 -4.6369 -4.8474
3.4028 -7.9864 -12.9048
1.8164 -1.8373 -16.1469
-1.5656 -16.7172 0.4376
-1.0597 -16.1925 -6.6551
-1.5569 -13.9176 -10.8619
-0.3364 -21.3650 0.5147
1.3105 -2.3620 -9.0542
-0.8492 -2.5502 -7.5300
-1.8135 -8.3709 -2.1696
0.5752 -17.3681 1.8575
2.0643 -10.1836 -13.5397
-0.3243 -1.1864 -17.5668
1.1000 -16.0043 -8.1793

---

Record 3
PBE-GGA Ho2CoGe6, relaxed; M_tot = 0.00 Bohr magnetons per cell; ΔH_f (0 K) = -0.468 eV/atom
1.0
-0.3611 -3.9604 -0.8368
3.9549 -0.4285 0.3216
-3.0587 -1.9009 10.3169
Ho Ge Co
2 6 1
Cartesian
-0.6610 -2.9202 4.2378
0.9611 -3.8296 7.8420
1.5451 -2.6871 2.1829
-0.7332 -1.4344 7.1053
-1.2613 -4.0944 10.0542
1.4055 -1.3332 5.7034
-0.2562 -0.5013 2.4830
-0.0018 -0.0035 0.0175
-0.9627 -1.8833 9.3292

---

Record 4
PBE-GGA RbCeSe2, relaxed; ΔH_f (0 K) = -1.922 eV/atom
1.0
0.6031 2.2094 -3.7790
0.6031 -2.2094 -3.7790
-7.4907 0.0000 -3.7790
Rb Se Ce
1 2 1
Cartesian
0.0000 0.0000 0.0000
-1.9697 0.0000 -2.8979
-4.3147 0.0000 -8.4392
-3.1422 0.0000 -5.6686